# Mg3Ru (PBE-GGA, optimized geometry)
data_Mg3Ru
_chemical_formula_sum 'Mg12 Ru4'
_cell_length_a 6.539
_cell_length_b 6.539
_cell_length_c 6.539
_cell_angle_alpha 90.00
_cell_angle_beta 90.00
_cell_angle_gamma 90.00
_symmetry_space_group_name_H-M 'F m -3 m'
_symmetry_Int_Tables_number 225
_symmetry_space_group_name_Hall '-F 4 2 3'
loop_
_atom_site_label
_atom_site_type_symbol
_atom_site_fract_x
_atom_site_fract_y
_atom_site_fract_z
Mg1 Mg 0.000 0.000 0.000
Mg2 Mg 0.250 0.250 0.250
Ru1 Ru 0.000 0.000 0.500
# - calculated formation energy (eV/atom) = 0.0130
# - density (g/cm³) = 4.13
# - total moment (μB per cell) = 0.0
# - uncorrected energy (eV/cell) = -56.09



# LiH4SNO4 (PBE-GGA, optimized geometry)
data_LiH4SNO4
_chemical_formula_sum 'Li8 H32 S8 N8 O32'
_cell_length_a 10.382
_cell_length_b 5.037
_cell_length_c 17.129
_cell_angle_alpha 90.00
_cell_angle_beta 90.00
_cell_angle_gamma 90.00
_symmetry_space_group_name_H-M 'P c a 21'
_symmetry_Int_Tables_number 29
_symmetry_space_group_name_Hall 'P 2c -2ac'
loop_
_atom_site_label
_atom_site_type_symbol
_atom_site_fract_x
_atom_site_fract_y
_atom_site_fract_z
Li1 Li 0.026 0.046 0.000
Li2 Li 0.224 0.546 0.997
H1 H 0.005 0.703 0.143
H2 H 0.012 0.513 0.225
H3 H 0.043 0.618 0.639
H4 H 0.115 0.457 0.147
H5 H 0.130 0.959 0.850
H6 H 0.212 0.890 0.358
H7 H 0.231 0.001 0.771
H8 H 0.238 0.208 0.850
S1 S 0.023 0.458 0.397
S2 S 0.228 0.042 0.600
N1 N 0.022 0.514 0.164
N2 N 0.222 0.016 0.832
O1 O 0.011 0.163 0.406
O2 O 0.030 0.458 0.821
O3 O 0.052 0.413 0.962
O4 O 0.089 0.971 0.593
O5 O 0.162 0.534 0.404
O6 O 0.198 0.911 0.035
O7 O 0.221 0.955 0.176
O8 O 0.243 0.337 0.592
# - calculated formation energy (eV/atom) = -1.4487
# - density (g/cm³) = 1.80
# - uncorrected energy (eV/cell) = -487.46



# NaHoGeO4 (PBE-GGA, optimized geometry)
data_NaHoGeO4
_chemical_formula_sum 'Na4 Ho4 Ge4 O16'
_cell_length_a 11.480
_cell_length_b 6.484
_cell_length_c 5.322
_cell_angle_alpha 90.00
_cell_angle_beta 90.00
_cell_angle_gamma 90.00
_symmetry_space_group_name_H-M 'P n m a'
_symmetry_Int_Tables_number 62
_symmetry_space_group_name_Hall '-P 2ac 2n'
loop_
_atom_site_label
_atom_site_type_symbol
_atom_site_fract_x
_atom_site_fract_y
_atom_site_fract_z
Na1 Na 0.000 0.000 0.000
Ho1 Ho 0.223 0.250 0.495
Ge1 Ge 0.098 0.750 0.553
O1 O 0.046 0.250 0.328
O2 O 0.112 0.750 0.226
O3 O 0.175 0.542 0.707
# - calculated formation energy (eV/atom) = -2.8831
# - density (g/cm³) = 5.44
# - total moment (μB per cell) = 0.0
# - uncorrected energy (eV/cell) = -191.01



# AuBrO2 (PBE-GGA, optimized geometry)
data_AuBrO2
_chemical_formula_sum 'Au4 Br4 O8'
_cell_length_a 7.510
_cell_length_b 11.268
_cell_length_c 4.200
_cell_angle_alpha 90.00
_cell_angle_beta 90.00
_cell_angle_gamma 90.00
_symmetry_space_group_name_H-M 'C 2 2 21'
_symmetry_Int_Tables_number 20
_symmetry_space_group_name_Hall 'C 2c 2'
loop_
_atom_site_label
_atom_site_type_symbol
_atom_site_fract_x
_atom_site_fract_y
_atom_site_fract_z
Au1 Au 0.237 0.000 0.000
Br1 Br 0.000 0.135 0.250
O1 O 0.086 0.401 0.785
# - calculated formation energy (eV/atom) = -0.0794
# - density (g/cm³) = 5.77
# - total moment (μB per cell) = 0.0
# - uncorrected energy (eV/cell) = -59.21